First-principles (GGA-PBE) data for a relaxed Ca3UO6 crystal, as listed in the Materials Project.

relative energy among the computed polymorphs	38	meV per atom
ΔE_f	-3.58	eV per atom
E	-7.869	eV/atom
MP2020-corrected energy	-8.282	eV per atom

a b c (Å): 5.7638 5.9943 10.1294
angles (deg): 90.00 123.99 90.00
Space group P2_1/c (No. 14)
Unique sites:
Ca: 0.0000 0.0000 0.0000 x2
Ca: 0.2242 0.0516 0.7401 x4
U: 0.5000 0.0000 0.5000 x2
O: 0.1495 0.1787 0.4452 x4
O: 0.2395 0.7154 0.4166 x4
O: 0.3983 0.0712 0.2690 x4